Computed, not measured: a relaxed CaH24C6Br2N12O6 crystal at the meta-GGA r2SCAN level of DFT.

total DFT energy (no corrections): -711.85 eV per cell
calculated formation energy: -0.674 eV/atom
space group: No. 14

```
CaH24C6Br2N12O6
1.0
10.121 0.000 0.000
0.000 7.843 0.000
-0.799 0.000 12.969
Ca H C Br N O
2 48 12 4 24 12
Direct
0.000 0.000 0.000
0.000 0.500 0.500
0.050 0.202 0.297
0.050 0.298 0.797
0.084 0.599 0.019
0.084 0.901 0.519
0.145 0.001 0.795
0.145 0.499 0.295
0.218 0.188 0.327
0.218 0.312 0.827
0.254 0.604 0.048
0.254 0.896 0.548
0.273 0.656 0.666
0.273 0.844 0.166
0.293 0.163 0.056
0.293 0.337 0.556
0.299 0.539 0.244
0.299 0.961 0.744
0.343 0.522 0.761
0.343 0.978 0.261
0.372 0.138 0.572
0.372 0.362 0.072
0.444 0.696 0.476
0.444 0.804 0.976
0.462 0.666 0.343
0.462 0.834 0.843
0.538 0.166 0.157
0.538 0.334 0.657
0.556 0.196 0.024
0.556 0.304 0.524
0.628 0.638 0.928
0.628 0.862 0.428
0.657 0.022 0.739
0.657 0.478 0.239
0.701 0.039 0.256
0.701 0.461 0.756
0.707 0.663 0.444
0.707 0.837 0.944
0.727 0.156 0.834
0.727 0.344 0.334
0.746 0.104 0.452
0.746 0.396 0.952
0.782 0.688 0.173
0.782 0.812 0.673
0.855 0.501 0.705
0.855 0.999 0.205
0.916 0.099 0.481
0.916 0.401 0.981
0.950 0.702 0.203
0.950 0.798 0.703
0.142 0.004 0.230
0.142 0.496 0.730
0.171 0.133 0.547
0.171 0.367 0.047
0.289 0.581 0.399
0.289 0.919 0.899
0.711 0.081 0.101
0.711 0.419 0.601
0.829 0.633 0.953
0.829 0.867 0.453
0.858 0.504 0.270
0.858 0.996 0.770
0.492 0.643 0.142
0.492 0.857 0.642
0.508 0.143 0.358
0.508 0.357 0.858
0.134 0.133 0.297
0.134 0.367 0.797
0.168 0.539 0.047
0.168 0.961 0.547
0.244 0.523 0.306
0.244 0.977 0.806
0.260 0.569 0.722
0.260 0.931 0.222
0.288 0.210 0.568
0.288 0.290 0.068
0.413 0.644 0.408
0.413 0.856 0.908
0.587 0.144 0.092
0.587 0.356 0.592
0.712 0.710 0.932
0.712 0.790 0.432
0.740 0.069 0.778
0.740 0.431 0.278
0.756 0.023 0.194
0.756 0.477 0.694
0.832 0.039 0.453
0.832 0.461 0.953
0.866 0.633 0.203
0.866 0.867 0.703
0.040 0.551 0.677
0.040 0.949 0.177
0.066 0.219 0.530
0.066 0.281 0.030
0.220 0.571 0.477
0.220 0.929 0.977
0.780 0.071 0.023
0.780 0.429 0.523
0.934 0.719 0.970
0.934 0.781 0.470
0.960 0.051 0.823
0.960 0.449 0.323
```